The following is a PBE calculation of a geometry-optimized ZnS structure, from Materials Project.

extended XYZ file:
```
48
Lattice="3.1292 2.0081 -1.0103 -3.4741 1.0784 -1.2700 -8.5889 44.0028 60.8603" Properties=species:S:1:pos:R:3 pbc="T T T"
S -5.9941 30.7088 42.4735
S -6.7100 34.3767 47.5464
S -1.3419 6.8750 9.5088
S -3.6349 25.0753 31.2361
S -2.5610 19.5739 23.6271
S -6.1398 37.9084 48.9856
S -2.9728 10.0968 10.8613
S -6.5515 28.4311 36.2195
S -4.7083 30.5745 38.8421
S -7.6253 33.9326 43.8286
S -3.1313 16.0421 22.1879
S -5.1200 21.0975 26.0764
S -4.0466 15.5983 18.4705
S -0.2685 1.3757 1.9028
S -4.9206 25.2095 34.8673
S -2.4153 12.3743 17.1149
S -8.6987 39.4318 51.4346
S -7.2134 43.4087 56.5931
S -0.0559 6.7396 5.8759
S -4.2047 21.5415 29.7941
S -1.8992 4.5964 3.2537
S -1.1295 12.2399 13.4834
S -7.7836 39.8771 55.1541
S -9.7721 44.9311 59.0407
Zn -6.9452 42.0347 54.6926
Zn -0.8613 10.8658 11.5829
Zn -0.0001 0.0003 0.0004
Zn -5.7260 29.3356 40.5741
Zn -3.3664 23.6999 29.3338
Zn -9.5041 43.5578 57.1413
Zn -2.7046 8.7227 8.9608
Zn -2.1473 11.0009 15.2154
Zn -6.2832 27.0569 34.3189
Zn -6.4419 33.0029 45.6464
Zn -8.4305 38.0577 49.5341
Zn -5.8715 36.5343 47.0850
Zn 0.2123 5.3654 3.9753
Zn -4.8518 19.7234 24.1759
Zn -2.8631 14.6685 20.2880
Zn -1.0737 5.5007 7.6081
Zn -2.2928 18.1996 21.7263
Zn -7.5154 38.5029 53.2534
Zn -1.6310 3.2228 1.3539
Zn -4.6525 23.8358 32.9674
Zn -4.4400 29.2004 36.9415
Zn -3.9366 20.1682 27.8946
Zn -7.3568 32.5572 41.9263
Zn -3.7782 14.2229 16.5681
```

## Properties
Formation energy from the elements, meV/atom: -1062

The following is a PBE calculation of a geometry-optimized ZnS structure, from Materials Project.

extended XYZ file:
```
12
Lattice="18.9141 -1.9286 0.0000 18.9141 1.9286 0.0000 18.7174 0.0000 3.3347" Properties=species:S:1:pos:R:3 pbc="T T T"
S 11.7776 0.0000 0.6946
S 33.7708 0.0000 1.9916
S 46.3352 0.0000 2.7325
S 18.0604 0.0000 1.0651
S 2.3570 0.0000 0.1390
S 24.3463 0.0000 1.4358
Zn 43.9816 0.0000 2.5937
Zn 0.0009 0.0000 0.0001
Zn 15.7085 0.0000 0.9264
Zn 31.4149 0.0000 1.8526
Zn 21.9927 0.0000 1.2970
Zn 9.4251 0.0000 0.5558
```

## Properties
Formation energy from the elements, meV/atom: -1051

The following is a PBE calculation of a geometry-optimized ZnS structure, from Materials Project.

extended XYZ file:
```
40
Lattice="0.5813 -0.1007 -3.8085 -3.4735 -0.8412 1.4420 -16.3955 60.6604 -4.1064" Properties=species:S:1:pos:R:3 pbc="T T T"
S -2.2049 4.9599 -2.4176
S -15.3707 56.8688 -3.8497
S -5.1960 10.7793 -1.0781
S -12.9114 47.7698 -3.2338
S -16.9603 59.5526 -6.1132
S -4.7136 17.4396 -1.1806
S -10.1142 28.9755 -2.3099
S -14.2135 44.1424 -3.3366
S -2.2543 8.3406 -0.5646
S -7.1235 23.1582 -3.6495
S -10.4521 38.6707 -2.6178
S -2.7372 1.6821 -0.4622
S -16.6729 53.2415 -3.9525
S -4.6642 14.0591 -3.0335
S -11.7542 35.0433 -2.7206
S -12.0422 41.3563 -4.8814
S -7.6553 19.8783 -1.6940
S -9.5834 32.2592 -4.2656
S -7.1730 26.5387 -1.7965
S -14.5015 50.4553 -5.4974
Zn -13.8868 48.1809 -5.3434
Zn -16.0581 50.9671 -3.7986
Zn -1.6396 6.0662 -0.4107
Zn -8.9681 29.9826 -4.1115
Zn -11.1397 32.7697 -2.5667
Zn -4.0495 11.7847 -2.8796
Zn -7.0406 17.6039 -1.5401
Zn -6.5088 20.8838 -3.4955
Zn -12.2967 45.4954 -3.0798
Zn -9.8373 36.3964 -2.4638
Zn -11.4274 39.0819 -4.7275
Zn -14.7560 54.5945 -3.6958
Zn -13.5988 41.8680 -3.1826
Zn -6.5582 24.2643 -1.6426
Zn -1.5903 2.6863 -2.2637
Zn -4.0989 15.1653 -1.0266
Zn -16.3460 57.2797 -5.9593
Zn -2.1219 -0.5944 -0.3081
Zn -9.4999 26.7027 -2.1560
Zn -4.5813 8.5049 -0.9241
```

## Properties
Formation energy from the elements, meV/atom: -1062

The following is a PBE calculation of a geometry-optimized ZnS structure, from Materials Project.

extended XYZ file:
```
20
Lattice="31.5126 -1.9316 0.0000 31.5126 1.9316 0.0000 31.3942 0.0000 3.3436" Properties=species:S:1:pos:R:3 pbc="T T T"
S 40.1286 0.0000 1.4210
S 49.5704 0.0000 1.7554
S 87.3372 0.0000 3.0928
S 11.8017 0.0000 0.4179
S 27.5353 0.0000 0.9751
S 77.8951 0.0000 2.7584
S 68.4535 0.0000 2.4241
S 21.2410 0.0000 0.7522
S 2.3615 0.0000 0.0836
S 62.1550 0.0000 2.2010
Zn 25.1770 0.0000 0.8916
Zn 9.4423 0.0000 0.3344
Zn 66.0943 0.0000 2.3405
Zn 75.5345 0.0000 2.6748
Zn 84.9756 0.0000 3.0092
Zn 94.4187 0.0000 3.3436
Zn 47.2106 0.0000 1.6718
Zn 59.7959 0.0000 2.1175
Zn 18.8833 0.0000 0.6687
Zn 37.7684 0.0000 1.3375
```

## Properties
Formation energy from the elements, meV/atom: -1012

The following is a PBE calculation of a geometry-optimized ZnS structure, from Materials Project.

extended XYZ file:
```
48
Lattice="1.9268 -3.3373 0.0000 1.9268 3.3373 0.0000 0.0000 0.0000 75.5729" Properties=species:S:1:pos:R:3 pbc="T T T"
Zn 1.9268 -1.1124 44.0839
Zn 0.0000 0.0000 40.9354
Zn 1.9268 1.1124 66.1271
Zn 1.9268 -1.1124 34.6376
Zn 1.9268 -1.1124 3.1500
Zn 1.9268 -1.1124 12.5959
Zn 1.9268 1.1124 59.8287
Zn 1.9268 1.1124 18.8933
Zn 0.0000 0.0000 47.2338
Zn 0.0000 0.0000 31.4898
Zn 1.9268 1.1124 50.3823
Zn 0.0000 0.0000 15.7443
Zn 1.9268 -1.1124 62.9772
Zn 1.9268 -1.1124 22.0425
Zn 1.9268 1.1124 37.7866
Zn 0.0000 0.0000 56.6798
Zn 1.9268 1.1124 75.5728
Zn 0.0000 0.0000 25.1907
Zn 1.9268 1.1124 9.4468
Zn 1.9268 1.1124 28.3397
Zn 1.9268 -1.1124 53.5308
Zn 0.0000 0.0000 69.2756
Zn 1.9268 -1.1124 72.4238
Zn 0.0000 0.0000 6.2977
S 1.9268 -1.1124 5.5104
S 1.9268 -1.1124 24.4037
S 1.9268 -1.1124 36.9989
S 0.0000 0.0000 43.2952
S 1.9268 1.1124 21.2547
S 0.0000 0.0000 27.5506
S 0.0000 0.0000 18.1057
S 0.0000 0.0000 49.5945
S 1.9268 -1.1124 46.4473
S 0.0000 0.0000 33.8502
S 0.0000 0.0000 8.6591
S 1.9268 -1.1124 55.8921
S 1.9268 1.1124 62.1884
S 1.9268 1.1124 52.7435
S 0.0000 0.0000 59.0412
S 1.9268 -1.1124 14.9571
S 1.9268 -1.1124 65.3405
S 1.9268 1.1124 11.8081
S 1.9268 1.1124 30.7031
S 1.9268 1.1124 2.3632
S 1.9268 -1.1124 74.7836
S 0.0000 0.0000 71.6368
S 1.9268 1.1124 68.4877
S 1.9268 1.1124 40.1480
```

## Properties
Formation energy from the elements, meV/atom: -1062

The following is a PBE calculation of a geometry-optimized ZnS structure, from Materials Project.

extended XYZ file:
```
100
Lattice="13.6368 0.3970 -0.1219 0.3358 13.2133 -1.0294 -0.1483 -1.0757 13.4045" Properties=species:S:1:pos:R:3 pbc="T T T"
Zn 9.5596 9.5933 0.7902
Zn 8.8661 10.7618 9.4806
Zn 1.5472 2.9508 11.9933
Zn 3.5201 9.0606 6.3692
Zn 3.6466 3.9111 11.6338
Zn 9.9801 5.1286 4.5555
Zn 12.2289 8.7426 11.5372
Zn 12.0782 7.7784 3.7859
Zn 1.9585 -0.7352 9.9021
Zn 7.2581 11.4545 2.8323
Zn 5.0801 0.0373 10.8284
Zn 6.6170 1.7638 8.1490
Zn 8.2910 7.5251 2.4036
Zn 13.5412 9.8951 3.3795
Zn 10.4584 12.0038 11.8893
Zn 12.7920 5.5412 9.6758
Zn 9.3873 6.9442 11.6429
Zn 9.5807 -0.2302 10.5600
Zn 3.4696 2.0734 1.5806
Zn 0.3969 5.4530 6.5760
Zn 8.4863 4.0680 6.7513
Zn 7.3428 2.9662 11.1668
Zn 0.9129 0.3215 4.0354
Zn 7.9925 12.3763 6.0811
Zn 4.5950 5.0820 7.0885
Zn 6.4288 8.1225 6.5231
Zn 6.6976 8.6989 12.4986
Zn 12.9552 12.0539 6.0855
Zn 12.8746 1.0180 10.2478
Zn 10.1966 3.2881 8.9915
Zn 13.2723 11.3577 0.9941
Zn 5.0864 10.7911 7.1746
Zn 11.1473 10.4106 3.5827
Zn 11.2918 4.5921 12.1302
Zn 3.3251 11.2872 2.2933
Zn 10.0833 3.9513 -0.1467
Zn 11.0925 2.1894 2.8110
Zn 11.7779 5.4082 1.2806
Zn 12.2679 9.1072 7.6314
Zn 6.0181 4.8394 1.3917
Zn 6.9366 7.7371 8.8522
Zn 0.0492 2.1295 7.2186
Zn 5.4381 8.7033 4.2972
Zn 5.5113 6.0729 5.1108
Zn 6.4450 1.6989 0.7196
Zn 0.4122 4.6156 2.7185
Zn 2.0496 8.0371 2.7733
Zn 1.5967 8.5997 9.6133
Zn 2.4678 12.0646 12.0078
Zn 13.1493 3.3443 0.9019
S 6.4013 6.4358 2.9918
S 5.7191 0.4703 6.3731
S 13.7629 7.2706 2.2106
S 13.5170 4.9680 11.7419
S 2.2972 0.0499 2.0844
S 12.6430 13.2058 2.4629
S 5.4277 2.8273 2.4460
S 8.9179 2.0771 7.4870
S 8.4670 13.2465 -0.5215
S 8.9988 9.7841 3.1388
S 1.6536 9.8645 1.4078
S 10.2909 5.3736 10.1126
S 4.2767 7.6871 -0.2047
S 10.3978 6.5391 2.7923
S 2.3941 12.0223 4.4468
S 10.8791 3.0966 4.7433
S 10.7868 1.7379 10.6623
S 7.4363 0.1664 5.0781
S 4.4268 -0.3366 12.9409
S 3.9493 -0.3240 8.9208
S 5.3604 10.2497 2.5768
S 2.3356 5.5877 8.0093
S 1.7581 3.5298 1.0543
S 13.0204 7.8521 5.8828
S 8.6565 6.0946 6.1024
S 3.0634 7.5428 8.2583
S 8.2524 8.7760 10.5567
S 3.3128 7.5747 4.5244
S 1.2013 10.4775 5.2123
S 13.0891 7.9902 9.5562
S 1.0814 0.6635 11.6805
S 5.3617 4.9480 12.7837
S 4.5911 8.1027 11.8882
S 1.4660 2.2027 5.4023
S 1.6389 10.7307 10.2721
S 7.7708 3.6587 -0.0098
S 7.1892 0.8109 10.2583
S 1.3749 4.2066 4.7775
S 8.0004 7.9423 0.0539
S 0.1649 0.1389 8.3229
S 11.2405 1.9861 0.5837
S 11.3456 8.5530 -0.3168
S 7.5833 10.7029 7.4522
S 7.9601 11.4719 0.4226
S 12.5422 4.3751 7.6834
S 12.4103 10.8570 12.3162
S 5.4066 3.6797 8.9161
S 7.1777 4.6223 9.5798
S 11.5767 12.6916 4.2006
S 11.3835 11.1391 7.4682
```

## Properties
Formation energy from the elements, meV/atom: -609

What did the first record say?
The following is a PBE calculation of a geometry-optimized ZnS structure, from Materials Project.

extended XYZ file:
```
48
Lattice="3.1292 2.0081 -1.0103 -3.4741 1.0784 -1.2700 -8.5889 44.0028 60.8603" Properties=species:S:1:pos:R:3 pbc="T T T"
S -5.9941 30.7088 42.4735
S -6.7100 34.3767 47.5464
S -1.3419 6.8750 9.5088
S -3.6349 25.0753 31.2361
S -2.5610 19.5739 23.6271
S -6.1398 37.9084 48.9856
S -2.9728 10.0968 10.8613
S -6.5515 28.4311 36.2195
S -4.7083 30.5745 38.8421
S -7.6253 33.9326 43.8286
S -3.1313 16.0421 22.1879
S -5.1200 21.0975 26.0764
S -4.0466 15.5983 18.4705
S -0.2685 1.3757 1.9028
S -4.9206 25.2095 34.8673
S -2.4153 12.3743 17.1149
S -8.6987 39.4318 51.4346
S -7.2134 43.4087 56.5931
S -0.0559 6.7396 5.8759
S -4.2047 21.5415 29.7941
S -1.8992 4.5964 3.2537
S -1.1295 12.2399 13.4834
S -7.7836 39.8771 55.1541
S -9.7721 44.9311 59.0407
Zn -6.9452 42.0347 54.6926
Zn -0.8613 10.8658 11.5829
Zn -0.0001 0.0003 0.0004
Zn -5.7260 29.3356 40.5741
Zn -3.3664 23.6999 29.3338
Zn -9.5041 43.5578 57.1413
Zn -2.7046 8.7227 8.9608
Zn -2.1473 11.0009 15.2154
Zn -6.2832 27.0569 34.3189
Zn -6.4419 33.0029 45.6464
Zn -8.4305 38.0577 49.5341
Zn -5.8715 36.5343 47.0850
Zn 0.2123 5.3654 3.9753
Zn -4.8518 19.7234 24.1759
Zn -2.8631 14.6685 20.2880
Zn -1.0737 5.5007 7.6081
Zn -2.2928 18.1996 21.7263
Zn -7.5154 38.5029 53.2534
Zn -1.6310 3.2228 1.3539
Zn -4.6525 23.8358 32.9674
Zn -4.4400 29.2004 36.9415
Zn -3.9366 20.1682 27.8946
Zn -7.3568 32.5572 41.9263
Zn -3.7782 14.2229 16.5681
```

## Properties
Formation energy from the elements, meV/atom: -1062